# YSnPS2O12

A relaxed YSnPS2O12 crystal (PBE, Materials Project).

Lattice parameters (Å, degrees): 9.0501 9.0501 23.2773 90.39 90.39 59.79
With the nearest neighbours (Å) after each atom.
Fractional positions:
Y: 0.0008 0.9992 0.5000  6 O 2.15-2.24
Y: 0.3253 0.3279 0.3336  6 O 2.12-2.28
Y: 0.3279 0.3253 0.8336  6 O 2.12-2.28
Y: 0.6612 0.6757 0.6662  6 O 2.12-2.31
Y: 0.6757 0.6612 0.1662  6 O 2.12-2.31
Y: 0.9992 0.0008 0.0000  6 O 2.15-2.24
Sn: 0.0004 0.9988 0.7099  6 O 2.01-2.18
Sn: 0.3147 0.3454 0.0432  6 O 2.02-2.20
Sn: 0.3454 0.3147 0.5432  6 O 2.02-2.20
Sn: 0.6631 0.6667 0.8760  6 O 2.01-2.17
Sn: 0.6667 0.6631 0.3760  6 O 2.01-2.17
Sn: 0.9988 0.0004 0.2099  6 O 2.01-2.18
P: 0.0160 0.7071 0.1090  4 O 1.52-1.59
P: 0.0283 0.3525 0.9409  4 O 1.52-1.59
P: 0.3525 0.0283 0.4409  4 O 1.52-1.59
P: 0.3659 0.9422 0.7755  4 O 1.51-1.59
P: 0.7071 0.0160 0.6090  4 O 1.52-1.59
P: 0.9422 0.3659 0.2755  4 O 1.51-1.59
S: 0.0160 0.2829 0.6089  4 O 1.46-1.51
S: 0.0366 0.6112 0.4430  4 O 1.46-1.51
S: 0.2823 0.6938 0.6077  4 O 1.46-1.51
S: 0.2829 0.0160 0.1089  4 O 1.46-1.51
S: 0.3509 0.6128 0.9416  4 O 1.46-1.51
S: 0.3676 0.6806 0.2749  4 O 1.46-1.52
S: 0.6112 0.0366 0.9430  4 O 1.46-1.51
S: 0.6128 0.3509 0.4416  4 O 1.46-1.51
S: 0.6806 0.3676 0.7749  4 O 1.46-1.52
S: 0.6830 0.9483 0.2753  4 O 1.46-1.51
S: 0.6938 0.2823 0.1077  4 O 1.46-1.51
S: 0.9483 0.6830 0.7753  4 O 1.46-1.51
O: 0.0044 0.2001 0.9515  1 P 1.52
O: 0.0115 0.7831 0.4509  1 S 1.47
O: 0.0449 0.7907 0.1651  1 P 1.59
O: 0.0493 0.1732 0.6615  1 S 1.51
O: 0.1082 0.3857 0.9970  1 P 1.59
O: 0.1183 0.5048 0.4959  1 S 1.51
O: 0.1188 0.3428 0.2849  1 P 1.52
O: 0.1214 0.5377 0.7835  1 S 1.46
O: 0.1425 0.3236 0.8897  1 P 1.52
O: 0.1431 0.5334 0.3924  1 S 1.46
O: 0.1699 0.3024 0.6016  1 S 1.50
O: 0.1732 0.0493 0.1615  1 S 1.51
O: 0.1763 0.7729 0.6609  1 S 1.51
O: 0.1817 0.5267 0.1032  1 P 1.57
O: 0.1851 0.9603 0.7668  1 P 1.57
O: 0.1943 0.8378 0.2689  1 S 1.50
O: 0.2001 0.0044 0.4515  1 P 1.52
O: 0.2014 0.7836 0.9496  1 S 1.47
O: 0.2030 0.8045 0.5578  1 S 1.46
O: 0.2031 0.9894 0.0581  1 S 1.46
O: 0.2924 0.5248 0.5991  1 S 1.50
O: 0.3024 0.1699 0.1016  1 S 1.50
O: 0.3236 0.1425 0.3897  1 P 1.52
O: 0.3259 0.5318 0.8910  1 S 1.46
O: 0.3428 0.1188 0.7849  1 P 1.52
O: 0.3476 0.5317 0.2838  1 S 1.46
O: 0.3816 0.5050 0.9946  1 S 1.51
O: 0.3857 0.1082 0.4970  1 P 1.59
O: 0.4450 0.7122 0.3283  1 S 1.52
O: 0.4493 0.8303 0.8313  1 P 1.59
O: 0.4514 0.8660 0.1179  1 S 1.46
O: 0.4548 0.6657 0.6160  1 S 1.46
O: 0.4726 0.6563 0.2245  1 S 1.46
O: 0.4774 0.8552 0.7238  1 P 1.51
O: 0.5048 0.1183 0.9959  1 S 1.51
O: 0.5050 0.3816 0.4946  1 S 1.51
O: 0.5068 0.6291 0.9357  1 S 1.50
O: 0.5163 0.8485 0.4318  1 P 1.57
O: 0.5248 0.2924 0.0991  1 S 1.50
O: 0.5267 0.1817 0.6032  1 P 1.57
O: 0.5318 0.3259 0.3910  1 S 1.46
O: 0.5317 0.3476 0.7838  1 S 1.46
O: 0.5334 0.1431 0.8924  1 S 1.46
O: 0.5377 0.1214 0.2835  1 S 1.46
O: 0.6254 0.8651 0.9356  1 S 1.50
O: 0.6291 0.5068 0.4357  1 S 1.50
O: 0.6504 0.8713 0.2250  1 S 1.46
O: 0.6563 0.4726 0.7245  1 S 1.46
O: 0.6657 0.4548 0.1160  1 S 1.46
O: 0.6844 0.8624 0.6180  1 P 1.52
O: 0.7122 0.4450 0.8283  1 S 1.52
O: 0.7116 0.8415 0.3282  1 S 1.51
O: 0.7729 0.1763 0.1609  1 S 1.51
O: 0.7831 0.0115 0.9509  1 S 1.47
O: 0.7836 0.2014 0.4496  1 S 1.47
O: 0.7907 0.0449 0.6651  1 P 1.59
O: 0.8045 0.2030 0.0578  1 S 1.46
O: 0.8173 0.9916 0.5570  1 P 1.52
O: 0.8303 0.4493 0.3313  1 P 1.59
O: 0.8378 0.1943 0.7689  1 S 1.50
O: 0.8415 0.7116 0.8282  1 S 1.51
O: 0.8412 0.9597 0.2682  1 S 1.50
O: 0.8485 0.5163 0.9318  1 P 1.57
O: 0.8552 0.4774 0.2238  1 P 1.51
O: 0.8624 0.6844 0.1180  1 P 1.52
O: 0.8651 0.6254 0.4356  1 S 1.50
O: 0.8660 0.4514 0.6179  1 S 1.46
O: 0.8713 0.6504 0.7250  1 S 1.46
O: 0.9603 0.1851 0.2668  1 P 1.57
O: 0.9597 0.8412 0.7682  1 S 1.50
O: 0.9894 0.2031 0.5581  1 S 1.46
O: 0.9916 0.8173 0.0570  1 P 1.52

Computed properties:
Total magnetization, μB per atom: 0.000
Energy with MP2020 corrections, eV/atom: -7.33
ΔH_f (0 K), eV/atom: -2.418
Total energy, eV per atom: -6.847
ρ, g cm⁻³: 3.0
Calculated volume, Å³ per cell: 1647.6